# 1
Pr2SiS5 | Materials Project | r²SCAN | optimized geometry; electronic total energy = -15.273 eV per atom; total moment = 0.000 μB/atom; E_form = -174.0 kJ per mole of atoms
1.0
7.599 0.000 0.000
0.000 12.581 0.000
-1.549 0.000 7.701
Pr Si S
8 4 20
direct
0.162 0.165 0.132
0.162 0.335 0.632
0.240 0.595 0.043
0.240 0.905 0.543
0.760 0.095 0.457
0.760 0.405 0.957
0.838 0.665 0.368
0.838 0.835 0.868
0.332 0.616 0.595
0.332 0.884 0.095
0.668 0.116 0.905
0.668 0.384 0.405
0.130 0.703 0.694
0.130 0.797 0.194
0.137 0.121 0.497
0.137 0.379 0.997
0.175 0.530 0.386
0.175 0.970 0.886
0.421 0.002 0.280
0.421 0.498 0.780
0.475 0.227 0.950
0.475 0.273 0.450
0.525 0.727 0.550
0.525 0.773 0.050
0.579 0.502 0.220
0.579 0.998 0.720
0.825 0.030 0.114
0.825 0.470 0.614
0.863 0.621 0.003
0.863 0.879 0.503
0.870 0.203 0.806
0.870 0.297 0.306

***

# 2
La2B3Br | Materials Project | r²SCAN | optimized geometry; electronic total energy = -16.761 eV per atom; total moment = 0.005 μB/atom; E_form = -93.0 kJ per mole of atoms
1.0
7.854 0.000 0.000
-3.927 6.802 0.000
0.000 0.000 8.548
La B Br
8 12 4
direct
0.000 0.000 0.231
0.000 0.000 0.769
0.000 0.500 0.218
0.000 0.500 0.782
0.500 0.000 0.218
0.500 0.000 0.782
0.500 0.500 0.218
0.500 0.500 0.782
0.140 0.279 0.000
0.140 0.860 0.000
0.263 0.526 0.000
0.263 0.737 0.000
0.278 0.139 0.000
0.474 0.737 0.000
0.526 0.263 0.000
0.721 0.860 0.000
0.737 0.263 0.000
0.737 0.474 0.000
0.861 0.139 0.000
0.861 0.722 0.000
0.333 0.667 0.500
0.339 0.169 0.500
0.831 0.169 0.500
0.831 0.661 0.500

***

# 3
DyZn3 | Materials Project | r²SCAN | optimized geometry; electronic total energy = -15.081 eV per atom; total moment = 0.000 μB/atom; E_form = -38.9 kJ per mole of atoms
1.0
6.611 0.000 0.000
0.000 4.339 0.000
0.000 0.000 9.982
Dy Zn
4 12
direct
0.223 0.250 0.160
0.277 0.750 0.660
0.723 0.250 0.340
0.777 0.750 0.840
0.037 0.750 0.393
0.081 0.250 0.855
0.224 0.750 0.955
0.276 0.250 0.455
0.419 0.750 0.355
0.463 0.250 0.893
0.537 0.750 0.107
0.581 0.250 0.645
0.724 0.750 0.545
0.776 0.250 0.045
0.919 0.750 0.145
0.963 0.250 0.607

***

Q: Which of these has the highest E_form?
A: DyZn3